Run 1
Compound: KCN
Source: the Materials Project database
Functional: PBE
Structure: optimized geometry

Unit cell a=4.602 b=7.821 c=8.436 alpha=70.93 beta=87.71 gamma=86.07
Fractional positions:
K 0.789 0.523 0.239
K 0.208 0.477 0.755
K 0.294 0.018 0.258
K 0.704 0.984 0.737
C 0.818 0.798 0.449
C 0.326 0.299 0.450
C 0.190 0.738 0.946
C 0.693 0.232 0.950
N 0.181 0.198 0.553
N 0.671 0.700 0.552
N 0.814 0.265 0.056
N 0.313 0.767 0.054

Results
- Volume: 23.86 Å³ per atom
- Size of the total moment: 0.000 μB per formula unit

***

Run 2
Compound: KCN
Source: the Materials Project database
Functional: PBE
Structure: optimized geometry

Unit cell a=3.958 b=3.958 c=3.960 alpha=88.87 beta=88.87 gamma=86.97
Fractional positions:
K 0.018 0.018 0.033
C 0.574 0.574 0.637
N 0.409 0.409 0.466

Results
- Volume: 20.64 Å³ per atom
- Size of the total moment: 0.000 μB per formula unit

***

Energy ordering: run 1 at the bottom, the next structure 0.043 eV/atom above.

***

Run 1
Compound: Mg5Si9
Source: the Materials Project database
Functional: PBE
Structure: optimized geometry

Unit cell a=5.395 b=7.357 c=12.789 alpha=92.12 beta=95.65 gamma=104.64
Fractional positions:
Mg 0.121 0.049 0.717
Mg 0.788 0.937 0.444
Mg 0.502 0.555 0.500
Mg 0.536 0.612 0.269
Mg 0.933 0.330 0.547
Mg 0.347 0.105 0.510
Mg 0.241 0.938 0.274
Mg 0.395 0.764 0.849
Mg 0.099 0.217 0.102
Mg 0.842 0.513 0.938
Si 0.810 0.769 0.098
Si 0.301 0.330 0.914
Si 0.091 0.293 0.342
Si 0.799 0.689 0.744
Si 0.020 0.553 0.192
Si 0.675 0.157 0.763
Si 0.604 0.285 0.357
Si 0.086 0.426 0.755
Si 0.628 0.271 0.156
Si 0.547 0.872 0.644
Si 0.979 0.965 0.911
Si 0.302 0.911 0.043
Si 0.753 0.003 0.229
Si 0.478 0.386 0.687
Si 0.644 0.122 0.956
Si 0.355 0.590 0.051
Si 0.090 0.717 0.605
Si 0.035 0.643 0.402

Results
- Volume: 17.42 Å³ per atom
- Size of the total moment: 0.001 μB per formula unit

***

Run 2
Compound: Mg5Si9
Source: the Materials Project database
Functional: PBE
Structure: optimized geometry

Unit cell a=7.532 b=7.535 c=10.832 alpha=106.25 beta=88.32 gamma=119.30
Fractional positions:
Mg 0.638 0.815 0.730
Mg 0.715 0.400 0.406
Mg 0.534 0.466 0.591
Mg 0.228 0.319 0.337
Mg 0.029 0.168 0.587
Mg 0.968 0.842 0.441
Mg 0.552 0.616 0.109
Mg 0.231 0.494 0.866
Mg 0.344 0.909 0.072
Mg 0.758 0.185 0.906
Si 0.850 0.076 0.195
Si 0.913 0.645 0.910
Si 0.232 0.684 0.359
Si 0.912 0.429 0.660
Si 0.563 0.725 0.326
Si 0.346 0.200 0.816
Si 0.639 0.233 0.200
Si 0.377 0.936 0.767
Si 0.953 0.569 0.198
Si 0.255 0.636 0.582
Si 0.998 0.022 0.869
Si 0.986 0.934 0.096
Si 0.298 0.062 0.250
Si 0.001 0.750 0.705
Si 0.571 0.408 0.958
Si 0.104 0.462 0.079
Si 0.379 0.034 0.534
Si 0.627 0.981 0.453

Results
- Volume: 18.23 Å³ per atom
- Size of the total moment: 0.000 μB per formula unit

***

Energy ordering: run 1 at the bottom, the next structure 0.722 eV/atom above.

***

Run 1
Compound: LiCuPO4
Source: the Materials Project database
Functional: PBE
Structure: optimized geometry

Unit cell a=4.902 b=4.902 c=4.902 alpha=119.02 beta=119.02 gamma=91.71
Fractional positions:
Li 0.500 0.500 0.000
Cu 0.000 0.000 0.000
P 0.750 0.250 0.500
O 0.059 0.563 0.865
O 0.437 0.302 0.496
O 0.806 0.941 0.504
O 0.698 0.194 0.135

Results
- Volume: 12.07 Å³ per atom
- Size of the total moment: 1.003 μB per formula unit
- Piezoelectric modulus e_max: 0.62 C/m2

***

Run 2
Compound: LiCuPO4
Source: the Materials Project database
Functional: PBE
Structure: optimized geometry

Unit cell a=5.657 b=7.595 c=8.030 alpha=90.00 beta=90.00 gamma=90.00
Fractional positions:
Li 0.715 0.950 0.769
Li 0.215 0.550 0.269
Li 0.715 0.450 0.731
Li 0.215 0.050 0.231
Cu 0.219 0.220 0.579
Cu 0.719 0.280 0.079
Cu 0.219 0.720 0.921
Cu 0.719 0.780 0.421
P 0.724 0.191 0.449
P 0.224 0.309 0.949
P 0.724 0.691 0.051
P 0.224 0.809 0.551
O 0.686 0.008 0.535
O 0.485 0.288 0.430
O 0.848 0.169 0.277
O 0.884 0.300 0.570
O 0.384 0.200 0.070
O 0.348 0.331 0.777
O 0.985 0.212 0.930
O 0.186 0.492 0.035
O 0.686 0.508 0.965
O 0.485 0.788 0.070
O 0.848 0.669 0.223
O 0.884 0.800 0.930
O 0.384 0.700 0.430
O 0.348 0.831 0.723
O 0.985 0.712 0.570
O 0.186 0.992 0.465

Results
- Volume: 12.32 Å³ per atom
- Size of the total moment: 0.999 μB per formula unit

***

Energy ordering: run 1 at the bottom, the next structure 0.060 eV/atom above.

***

Run 1
Compound: LiCuPO4
Source: the Materials Project database
Functional: PBE
Structure: optimized geometry

Unit cell a=4.859 b=7.494 c=17.875 alpha=87.76 beta=90.00 gamma=90.00
Fractional positions:
Li 0.770 0.002 0.588
Li 0.730 0.002 0.088
Li 0.344 0.498 0.823
Li 0.156 0.498 0.323
Li 0.844 0.502 0.677
Li 0.656 0.502 0.177
Li 0.270 0.998 0.912
Li 0.230 0.998 0.412
Cu 0.775 0.176 0.774
Cu 0.725 0.176 0.274
Cu 0.251 0.366 0.513
Cu 0.249 0.366 0.013
Cu 0.751 0.634 0.987
Cu 0.749 0.634 0.487
Cu 0.275 0.824 0.726
Cu 0.225 0.824 0.226
P 0.334 0.236 0.681
P 0.166 0.236 0.181
P 0.716 0.252 0.937
P 0.784 0.252 0.437
P 0.216 0.748 0.563
P 0.284 0.748 0.063
P 0.834 0.764 0.819
P 0.666 0.764 0.319
O 0.454 0.053 0.712
O 0.046 0.053 0.212
O 0.610 0.172 0.011
O 0.595 0.150 0.871
O 0.420 0.244 0.598
O 0.021 0.257 0.692
O 0.890 0.172 0.511
O 0.905 0.150 0.371
O 0.080 0.244 0.098
O 0.479 0.257 0.192
O 0.036 0.258 0.931
O 0.464 0.258 0.431
O 0.493 0.377 0.728
O 0.007 0.377 0.228
O 0.585 0.448 0.927
O 0.915 0.448 0.427
O 0.085 0.552 0.573
O 0.415 0.552 0.073
O 0.993 0.623 0.772
O 0.507 0.623 0.272
O 0.536 0.742 0.569
O 0.964 0.742 0.069
O 0.521 0.743 0.808
O 0.920 0.756 0.902
O 0.095 0.850 0.629
O 0.110 0.828 0.489
O 0.979 0.743 0.308
O 0.580 0.756 0.402
O 0.405 0.850 0.129
O 0.390 0.828 0.989
O 0.954 0.947 0.788
O 0.546 0.947 0.288

Results
- Volume: 11.61 Å³ per atom
- Size of the total moment: 1.000 μB per formula unit

***

Run 2
Compound: LiCuPO4
Source: the Materials Project database
Functional: PBE
Structure: optimized geometry

Unit cell a=9.254 b=4.875 c=7.609 alpha=57.38 beta=90.00 gamma=90.00
Fractional positions:
Li 0.351 0.345 0.681
Li 0.851 0.655 0.819
Li 0.149 0.345 0.181
Li 0.649 0.655 0.319
Cu 0.000 0.500 0.500
Cu 0.500 0.000 0.500
Cu 0.000 0.000 0.000
Cu 0.500 0.500 0.000
P 0.174 0.854 0.681
P 0.674 0.146 0.819
P 0.326 0.854 0.181
P 0.826 0.146 0.319
O 0.119 0.176 0.489
O 0.595 0.231 0.614
O 0.154 0.554 0.663
O 0.340 0.904 0.700
O 0.840 0.096 0.800
O 0.654 0.446 0.837
O 0.095 0.769 0.886
O 0.381 0.176 0.989
O 0.619 0.824 0.011
O 0.905 0.231 0.114
O 0.346 0.554 0.163
O 0.160 0.904 0.200
O 0.660 0.096 0.300
O 0.846 0.446 0.337
O 0.405 0.769 0.386
O 0.881 0.824 0.511

Results
- Volume: 10.32 Å³ per atom
- Size of the total moment: 0.000 μB per formula unit

***

Energy ordering: run 2 at the bottom, the next structure 0.039 eV/atom above.

***

Run 1
Compound: BaSrPrSbO6
Source: the Materials Project database
Functional: PBE
Structure: optimized geometry

Unit cell a=6.074 b=6.097 c=8.597 alpha=90.26 beta=90.39 gamma=90.07
Fractional positions:
Ba 0.505 0.523 0.250
Ba 0.495 0.477 0.750
Sr 0.993 0.032 0.253
Sr 0.007 0.968 0.747
Pr 0.000 0.500 0.000
Pr 0.500 0.000 0.500
Sb 0.500 0.000 0.000
Sb 0.000 0.500 0.500
O 0.238 0.197 0.956
O 0.262 0.700 0.528
O 0.762 0.803 0.044
O 0.738 0.300 0.472
O 0.300 0.740 0.964
O 0.191 0.232 0.542
O 0.700 0.260 0.036
O 0.809 0.768 0.458
O 0.418 0.996 0.229
O 0.060 0.465 0.270
O 0.582 0.004 0.771
O 0.940 0.535 0.730

Results
- Volume: 15.92 Å³ per atom
- Size of the total moment: 0.000 μB per formula unit

***

Run 2
Compound: BaSrPrSbO6
Source: the Materials Project database
Functional: PBE
Structure: optimized geometry

Unit cell a=6.122 b=6.122 c=6.122 alpha=60.00 beta=60.00 gamma=60.00
Fractional positions:
Ba 0.250 0.250 0.250
Sr 0.750 0.750 0.750
Pr 0.000 0.000 0.000
Sb 0.500 0.500 0.500
O 0.732 0.268 0.268
O 0.268 0.732 0.732
O 0.732 0.268 0.732
O 0.268 0.732 0.268
O 0.732 0.732 0.268
O 0.268 0.268 0.732

Results
- Volume: 16.22 Å³ per atom
- Size of the total moment: 0.000 μB per formula unit

***

Energy ordering: run 1 at the bottom, the next structure 0.037 eV/atom above.

***

Run 1
Compound: Si
Source: the Materials Project database
Functional: PBE
Structure: optimized geometry

Unit cell a=5.455 b=3.975 c=9.145 alpha=78.23 beta=108.78 gamma=111.24
Fractional positions:
Si 0.828 0.095 0.082
Si 0.211 0.001 0.060
Si 0.004 0.567 0.241
Si 0.362 0.126 0.628
Si 0.070 0.841 0.802
Si 0.842 0.287 0.682
Si 0.133 0.568 0.511
Si 0.566 0.509 0.000

Results
- Volume: 21.76 Å³ per atom
- Size of the total moment: 0.000 μB per formula unit

***

Run 2
Compound: Si
Source: the Materials Project database
Functional: PBE
Structure: optimized geometry

Unit cell a=2.736 b=2.736 c=2.736 alpha=60.00 beta=60.00 gamma=60.00
Fractional positions:
Si 0.000 0.000 0.000

Results
- Volume: 14.48 Å³ per atom
- Size of the total moment: 0.000 μB per formula unit

***

Energy ordering: run 1 at the bottom, the next structure 0.116 eV/atom above.

***

Run 1
Compound: Si
Source: the Materials Project database
Functional: PBE
Structure: optimized geometry

Unit cell a=10.422 b=10.422 c=10.422 alpha=60.00 beta=60.00 gamma=60.00
Fractional positions:
Si 0.500 0.500 0.500
Si 0.750 0.750 0.750
Si 0.390 0.390 0.390
Si 0.419 0.860 0.860
Si 0.860 0.419 0.860
Si 0.860 0.860 0.419
Si 0.390 0.831 0.390
Si 0.390 0.390 0.831
Si 0.831 0.390 0.390
Si 0.860 0.860 0.860
Si 0.364 0.753 0.753
Si 0.120 0.497 0.886
Si 0.497 0.120 0.497
Si 0.497 0.497 0.120
Si 0.120 0.886 0.497
Si 0.497 0.886 0.120
Si 0.497 0.120 0.886
Si 0.753 0.364 0.753
Si 0.753 0.753 0.364
Si 0.364 0.130 0.753
Si 0.364 0.753 0.130
Si 0.753 0.130 0.753
Si 0.130 0.364 0.753
Si 0.130 0.753 0.364
Si 0.753 0.753 0.130
Si 0.886 0.120 0.497
Si 0.886 0.497 0.120
Si 0.120 0.497 0.497
Si 0.886 0.497 0.497
Si 0.497 0.886 0.497
Si 0.497 0.497 0.886
Si 0.753 0.364 0.130
Si 0.753 0.130 0.364
Si 0.130 0.753 0.753

Results
- Volume: 23.54 Å³ per atom

***

Run 2
Compound: Si
Source: the Materials Project database
Functional: PBE
Structure: optimized geometry

Unit cell a=5.047 b=5.433 c=6.902 alpha=109.54 beta=109.20 gamma=83.80
Fractional positions:
Si 0.758 0.980 0.118
Si 0.447 0.795 0.744
Si 0.755 0.425 0.308
Si 0.066 0.786 0.894
Si 0.452 0.775 0.246
Si 0.751 0.441 0.652
Si 0.051 0.781 0.390
Si 0.751 0.001 0.626

Results
- Volume: 21.05 Å³ per atom
- Size of the total moment: 0.000 μB per formula unit

***

Energy ordering: run 1 at the bottom, the next structure 0.033 eV/atom above.

***

Run 1
Compound: TeMoWSeS2
Source: the Materials Project database
Functional: PBE
Structure: optimized geometry

Unit cell a=3.309 b=3.309 c=37.663 alpha=90.00 beta=90.00 gamma=120.00
Fractional positions:
Te 0.333 0.667 0.419
Te 0.333 0.667 0.521
Mo 0.000 0.000 0.094
Mo 0.333 0.667 0.282
W 0.000 0.000 0.470
W 0.333 0.667 0.658
Se 0.000 0.000 0.326
Se 0.000 0.000 0.237
S 0.000 0.000 0.698
S 0.333 0.667 0.053
S 0.333 0.667 0.135
S 0.000 0.000 0.617

Results
- Volume: 29.76 Å³ per atom
- Size of the total moment: 0.001 μB per formula unit

***

Run 2
Compound: TeMoWSeS2
Source: the Materials Project database
Functional: PBE
Structure: optimized geometry

Unit cell a=3.306 b=3.306 c=38.083 alpha=90.00 beta=90.00 gamma=120.00
Fractional positions:
Te 0.333 0.667 0.419
Te 0.333 0.667 0.520
Mo 0.000 0.000 0.469
Mo 0.333 0.667 0.282
W 0.000 0.000 0.094
W 0.333 0.667 0.658
Se 0.000 0.000 0.702
Se 0.000 0.000 0.614
S 0.000 0.000 0.322
S 0.333 0.667 0.054
S 0.333 0.667 0.134
S 0.000 0.000 0.242

Results
- Volume: 30.04 Å³ per atom
- Size of the total moment: 0.000 μB per formula unit

***

Energy ordering: run 2 at the bottom, the next structure 0.022 eV/atom above.